[1]
Entry from Materials Project: crystalline BaGa2O6 at its relaxed geometry (PBE-GGA).

Summary:
Calculated volume (A^3/atom): 16.44
E_form (eV per formula unit): -14.72

Unit cell a=7.349 b=12.606 c=12.774 alpha=90.00 beta=90.00 gamma=90.00
Positions (direct):
Ba (0.887, 0.155, 0.074)
Ba (0.613, 0.655, 0.926)
Ba (0.387, 0.845, 0.426)
Ba (0.113, 0.345, 0.574)
Ba (0.113, 0.845, 0.926)
Ba (0.387, 0.345, 0.074)
Ba (0.613, 0.155, 0.574)
Ba (0.887, 0.655, 0.426)
Ga (0.236, 0.152, 0.334)
Ga (0.264, 0.652, 0.666)
Ga (0.736, 0.848, 0.166)
Ga (0.764, 0.348, 0.834)
Ga (0.764, 0.848, 0.666)
Ga (0.736, 0.348, 0.334)
Ga (0.264, 0.152, 0.834)
Ga (0.236, 0.652, 0.166)
Ga (0.876, 0.491, 0.146)
Ga (0.624, 0.991, 0.854)
Ga (0.376, 0.509, 0.354)
Ga (0.124, 0.009, 0.646)
Ga (0.124, 0.509, 0.854)
Ga (0.376, 0.009, 0.146)
Ga (0.624, 0.491, 0.646)
Ga (0.876, 0.991, 0.354)
O (0.006, 0.614, 0.112)
O (0.494, 0.114, 0.888)
O (0.506, 0.386, 0.388)
O (0.994, 0.886, 0.612)
O (0.994, 0.386, 0.888)
O (0.506, 0.886, 0.112)
O (0.494, 0.614, 0.612)
O (0.006, 0.114, 0.388)
O (0.360, 0.029, 0.291)
O (0.140, 0.529, 0.709)
O (0.860, 0.971, 0.209)
O (0.640, 0.471, 0.791)
O (0.640, 0.971, 0.709)
O (0.860, 0.471, 0.291)
O (0.140, 0.029, 0.791)
O (0.360, 0.529, 0.209)
O (0.194, 0.223, 0.209)
O (0.306, 0.723, 0.791)
O (0.694, 0.777, 0.291)
O (0.806, 0.277, 0.709)
O (0.806, 0.777, 0.791)
O (0.694, 0.277, 0.209)
O (0.306, 0.223, 0.709)
O (0.194, 0.723, 0.291)
O (0.336, 0.223, 0.445)
O (0.164, 0.723, 0.555)
O (0.836, 0.777, 0.055)
O (0.664, 0.277, 0.945)
O (0.664, 0.777, 0.555)
O (0.836, 0.277, 0.445)
O (0.164, 0.223, 0.945)
O (0.336, 0.723, 0.055)
O (0.992, 0.373, 0.087)
O (0.508, 0.873, 0.913)
O (0.492, 0.627, 0.413)
O (0.008, 0.127, 0.587)
O (0.008, 0.627, 0.913)
O (0.492, 0.127, 0.087)
O (0.508, 0.373, 0.587)
O (0.992, 0.873, 0.413)
O (0.148, 0.999, 0.084)
O (0.352, 0.499, 0.916)
O (0.648, 0.001, 0.416)
O (0.852, 0.501, 0.584)
O (0.852, 0.001, 0.916)
O (0.648, 0.501, 0.084)
O (0.352, 0.999, 0.584)
O (0.148, 0.499, 0.416)

---

[2]
Entry from Materials Project: crystalline Ba2Ga6O11 at its relaxed geometry (PBE-GGA).

Summary:
Calculated volume (A^3/atom): 14.09
E_form (eV per formula unit): -48.04

Unit cell a=5.161 b=8.932 c=23.223 alpha=90.00 beta=90.00 gamma=90.00
Positions (direct):
Ba (0.398, 0.000, 0.141)
Ba (0.474, 0.500, 0.155)
Ba (0.974, 0.000, 0.345)
Ba (0.898, 0.500, 0.359)
Ba (0.102, 0.500, 0.641)
Ba (0.026, 0.000, 0.655)
Ba (0.526, 0.500, 0.845)
Ba (0.602, 0.000, 0.859)
Ga (0.000, 0.000, 0.000)
Ga (0.500, 0.833, 0.000)
Ga (0.500, 0.500, 0.000)
Ga (0.500, 0.167, 0.000)
Ga (0.994, 0.679, 0.073)
Ga (0.994, 0.321, 0.073)
Ga (0.889, 0.206, 0.214)
Ga (0.889, 0.794, 0.214)
Ga (0.389, 0.706, 0.286)
Ga (0.389, 0.294, 0.286)
Ga (0.494, 0.821, 0.427)
Ga (0.494, 0.179, 0.427)
Ga (0.000, 0.000, 0.500)
Ga (0.000, 0.667, 0.500)
Ga (0.000, 0.333, 0.500)
Ga (0.500, 0.500, 0.500)
Ga (0.506, 0.179, 0.573)
Ga (0.506, 0.821, 0.573)
Ga (0.611, 0.706, 0.714)
Ga (0.611, 0.294, 0.714)
Ga (0.111, 0.794, 0.786)
Ga (0.111, 0.206, 0.786)
Ga (0.006, 0.679, 0.927)
Ga (0.006, 0.321, 0.927)
O (0.674, 0.000, 0.044)
O (0.180, 0.844, 0.049)
O (0.180, 0.156, 0.049)
O (0.650, 0.663, 0.048)
O (0.650, 0.337, 0.048)
O (0.180, 0.500, 0.056)
O (0.008, 0.323, 0.154)
O (0.008, 0.677, 0.154)
O (0.950, 0.000, 0.202)
O (0.529, 0.236, 0.216)
O (0.529, 0.764, 0.216)
O (0.029, 0.736, 0.284)
O (0.029, 0.264, 0.284)
O (0.450, 0.500, 0.298)
O (0.508, 0.823, 0.346)
O (0.508, 0.177, 0.346)
O (0.680, 0.000, 0.444)
O (0.150, 0.837, 0.452)
O (0.150, 0.163, 0.452)
O (0.680, 0.344, 0.451)
O (0.680, 0.656, 0.451)
O (0.174, 0.500, 0.456)
O (0.826, 0.500, 0.544)
O (0.320, 0.656, 0.549)
O (0.320, 0.344, 0.549)
O (0.850, 0.837, 0.548)
O (0.850, 0.163, 0.548)
O (0.320, 0.000, 0.556)
O (0.492, 0.177, 0.654)
O (0.492, 0.823, 0.654)
O (0.550, 0.500, 0.702)
O (0.971, 0.264, 0.716)
O (0.971, 0.736, 0.716)
O (0.471, 0.764, 0.784)
O (0.471, 0.236, 0.784)
O (0.050, 0.000, 0.798)
O (0.992, 0.323, 0.846)
O (0.992, 0.677, 0.846)
O (0.820, 0.500, 0.944)
O (0.350, 0.663, 0.952)
O (0.350, 0.337, 0.952)
O (0.820, 0.844, 0.951)
O (0.820, 0.156, 0.951)
O (0.326, 0.000, 0.956)

---

[3]
Entry from Materials Project: crystalline Ba6Pr2Ga4O15 at its relaxed geometry (PBE-GGA).

Summary:
Calculated volume (A^3/atom): 17.54
E_form (eV per formula unit): -79.18

Unit cell a=6.123 b=8.183 c=18.907 alpha=91.03 beta=90.00 gamma=90.00
Positions (direct):
Ba (0.756, 0.500, 0.420)
Ba (0.244, 0.500, 0.580)
Ba (0.756, 0.500, 0.080)
Ba (0.244, 0.500, 0.920)
Ba (0.740, 0.965, 0.407)
Ba (0.260, 0.035, 0.593)
Ba (0.740, 0.035, 0.093)
Ba (0.260, 0.965, 0.907)
Ba (0.727, 0.000, 0.750)
Ba (0.273, 0.000, 0.250)
Ba (0.663, 0.500, 0.750)
Ba (0.337, 0.500, 0.250)
Pr (0.747, 0.754, 0.590)
Pr (0.253, 0.246, 0.410)
Pr (0.747, 0.246, 0.910)
Pr (0.253, 0.754, 0.090)
Ga (0.753, 0.754, 0.939)
Ga (0.247, 0.246, 0.061)
Ga (0.753, 0.246, 0.561)
Ga (0.247, 0.754, 0.439)
Ga (0.778, 0.772, 0.237)
Ga (0.222, 0.228, 0.763)
Ga (0.778, 0.228, 0.263)
Ga (0.222, 0.772, 0.737)
O (0.210, 0.000, 0.750)
O (0.790, 0.000, 0.250)
O (0.497, 0.766, 0.497)
O (0.503, 0.234, 0.503)
O (0.497, 0.234, 0.003)
O (0.503, 0.766, 0.997)
O (0.763, 0.949, 0.888)
O (0.237, 0.051, 0.112)
O (0.763, 0.051, 0.612)
O (0.237, 0.949, 0.388)
O (0.002, 0.763, 0.500)
O (0.998, 0.237, 0.500)
O (0.002, 0.237, 0.000)
O (0.998, 0.763, 0.000)
O (0.325, 0.694, 0.820)
O (0.675, 0.306, 0.180)
O (0.325, 0.306, 0.680)
O (0.675, 0.694, 0.320)
O (0.435, 0.744, 0.665)
O (0.565, 0.256, 0.335)
O (0.435, 0.256, 0.835)
O (0.565, 0.744, 0.165)
O (0.950, 0.726, 0.698)
O (0.050, 0.274, 0.302)
O (0.950, 0.274, 0.802)
O (0.050, 0.726, 0.198)
O (0.759, 0.538, 0.905)
O (0.241, 0.462, 0.095)
O (0.759, 0.462, 0.595)
O (0.241, 0.538, 0.405)

---

[4]
Entry from Materials Project: crystalline Ba5GaRu2O11 at its relaxed geometry (PBE-GGA).

Summary:
Calculated volume (A^3/atom): 16.64
E_form (eV per formula unit): -47.10

Unit cell a=5.918 b=11.233 c=19.027 alpha=90.00 beta=90.00 gamma=90.00
Positions (direct):
Ba (0.250, 0.607, 0.527)
Ba (0.750, 0.393, 0.473)
Ba (0.750, 0.107, 0.973)
Ba (0.250, 0.893, 0.027)
Ba (0.250, 0.809, 0.362)
Ba (0.750, 0.191, 0.638)
Ba (0.750, 0.309, 0.138)
Ba (0.250, 0.691, 0.862)
Ba (0.250, 0.131, 0.250)
Ba (0.750, 0.869, 0.750)
Ba (0.750, 0.631, 0.250)
Ba (0.250, 0.369, 0.750)
Ba (0.250, 0.453, 0.331)
Ba (0.750, 0.547, 0.669)
Ba (0.750, 0.953, 0.169)
Ba (0.250, 0.047, 0.831)
Ba (0.250, 0.529, 0.068)
Ba (0.750, 0.471, 0.932)
Ba (0.750, 0.029, 0.432)
Ba (0.250, 0.971, 0.568)
Ga (0.250, 0.762, 0.188)
Ga (0.750, 0.238, 0.812)
Ga (0.750, 0.262, 0.312)
Ga (0.250, 0.738, 0.688)
Ru (0.250, 0.205, 0.441)
Ru (0.750, 0.795, 0.559)
Ru (0.750, 0.705, 0.059)
Ru (0.250, 0.295, 0.941)
Ru (0.250, 0.209, 0.064)
Ru (0.750, 0.791, 0.936)
Ru (0.750, 0.709, 0.436)
Ru (0.250, 0.291, 0.564)
O (0.250, 0.043, 0.410)
O (0.750, 0.957, 0.590)
O (0.750, 0.543, 0.090)
O (0.250, 0.457, 0.910)
O (0.250, 0.308, 0.149)
O (0.750, 0.692, 0.851)
O (0.750, 0.808, 0.351)
O (0.250, 0.192, 0.649)
O (0.250, 0.639, 0.251)
O (0.750, 0.361, 0.749)
O (0.750, 0.139, 0.249)
O (0.250, 0.861, 0.751)
O (0.016, 0.106, 0.099)
O (0.984, 0.894, 0.901)
O (0.984, 0.606, 0.401)
O (0.516, 0.894, 0.901)
O (0.016, 0.394, 0.599)
O (0.484, 0.106, 0.099)
O (0.484, 0.394, 0.599)
O (0.516, 0.606, 0.401)
O (0.014, 0.324, 0.017)
O (0.986, 0.676, 0.983)
O (0.986, 0.824, 0.483)
O (0.514, 0.676, 0.983)
O (0.014, 0.176, 0.517)
O (0.486, 0.324, 0.017)
O (0.486, 0.176, 0.517)
O (0.514, 0.824, 0.483)
O (0.250, 0.383, 0.470)
O (0.750, 0.617, 0.530)
O (0.750, 0.883, 0.030)
O (0.250, 0.117, 0.970)
O (0.250, 0.910, 0.229)
O (0.750, 0.090, 0.771)
O (0.750, 0.410, 0.271)
O (0.250, 0.590, 0.729)
O (0.491, 0.248, 0.367)
O (0.509, 0.752, 0.633)
O (0.509, 0.748, 0.133)
O (0.991, 0.752, 0.633)
O (0.491, 0.252, 0.867)
O (0.009, 0.248, 0.367)
O (0.009, 0.252, 0.867)
O (0.991, 0.748, 0.133)